The following is a PBE with a Hubbard U calculation of crystalline Li6Fe3P8O29 at its relaxed geometry, from the Materials Project database.

Results
E_form, eV/f.u.: -112.5

abc: 9.969 9.971 13.865
angles: 90.08 90.12 119.91
Element x y z (fractional)
Li: 0.000 0.000 0.000
Li: 0.001 0.399 0.497
Li: 0.132 0.001 0.501
Li: 0.134 0.536 0.003
Li: 0.308 0.617 0.627
Li: 0.312 0.087 0.128
Li: 0.436 0.615 0.129
Li: 0.441 0.219 0.628
Li: 0.531 0.397 0.002
Li: 0.532 0.531 0.502
Li: 0.884 0.638 0.189
Li: 0.911 0.090 0.628
Fe: 0.212 0.737 0.817
Fe: 0.219 0.876 0.318
Fe: 0.647 0.740 0.314
Fe: 0.654 0.312 0.815
Fe: 0.786 0.303 0.312
Fe: 0.788 0.875 0.814
P: 0.123 0.540 0.225
P: 0.129 0.984 0.723
P: 0.310 0.633 0.407
P: 0.312 0.075 0.906
P: 0.454 0.634 0.906
P: 0.456 0.219 0.407
P: 0.544 0.542 0.724
P: 0.545 0.400 0.223
P: 0.546 0.969 0.192
P: 0.554 0.976 0.693
P: 0.885 0.645 0.441
P: 0.886 0.642 0.942
P: 0.894 0.073 0.405
P: 0.903 0.220 0.901
P: 0.984 0.399 0.718
P: 0.987 0.980 0.223
O: 0.001 0.087 0.313
O: 0.030 0.633 0.908
O: 0.031 0.798 0.411
O: 0.096 0.679 0.243
O: 0.113 0.825 0.738
O: 0.136 0.555 0.723
O: 0.139 0.974 0.225
O: 0.216 0.525 0.315
O: 0.217 0.560 0.135
O: 0.219 0.064 0.633
O: 0.219 0.093 0.815
O: 0.220 0.555 0.497
O: 0.222 0.063 0.997
O: 0.304 0.642 0.906
O: 0.305 0.062 0.406
O: 0.327 0.792 0.390
O: 0.327 0.931 0.889
O: 0.396 0.969 0.220
O: 0.409 0.822 0.725
O: 0.436 0.524 0.815
O: 0.439 0.310 0.315
O: 0.464 0.553 0.633
O: 0.466 0.309 0.497
O: 0.466 0.556 0.997
O: 0.467 0.638 0.406
O: 0.469 0.307 0.133
O: 0.470 0.225 0.906
O: 0.523 0.949 0.583
O: 0.541 0.816 0.218
O: 0.549 0.123 0.723
O: 0.551 0.391 0.724
O: 0.551 0.558 0.222
O: 0.563 0.996 0.081
O: 0.597 0.793 0.889
O: 0.599 0.204 0.390
O: 0.694 0.112 0.228
O: 0.703 0.685 0.739
O: 0.708 0.985 0.721
O: 0.711 0.428 0.241
O: 0.733 0.497 0.909
O: 0.734 0.639 0.408
O: 0.734 0.933 0.387
O: 0.744 0.209 0.893
O: 0.844 0.417 0.739
O: 0.847 0.816 0.239
O: 0.879 0.621 0.552
O: 0.886 0.643 0.053
O: 0.890 0.060 0.905
O: 0.890 0.226 0.404
O: 0.894 0.499 0.410
O: 0.894 0.794 0.908
O: 0.965 0.392 0.225
O: 0.970 0.312 0.625
O: 0.970 0.976 0.723
O: 0.971 0.061 0.496
O: 0.976 0.052 0.130
O: 0.995 0.320 0.985
O: 0.998 0.294 0.803